No. 1
Density functional theory data (PBE+U) for a relaxed Li3MnFeCoP3O12 crystal.

## Properties
Mass density in kg/m3: 3468
M_tot in μB/atom: 0.57
Energy relative to the lowest polymorph listed for this composition in meV per atom: 21
Space group: Pm (6)
Formation energy in eV per formula unit: -51.95

Lattice parameters (Å, degrees): 6.0914 10.4470 14.3102 89.90 90.00 90.00
Element x y z (fractional)
Li1 0.7500 0.9985 0.3332
Li2 0.2494 0.9996 0.0004
Li3 0.7506 0.9996 0.0004
Li4 0.2496 0.9984 0.6666
Li5 0.7504 0.9984 0.6666
Li6 0.2500 0.9985 0.3332
Li7 0.2499 0.5011 0.4997
Li8 0.7501 0.5011 0.4997
Li9 0.2494 0.5010 0.8330
Li10 0.7506 0.5010 0.8330
Li11 0.2498 0.5015 0.1670
Li12 0.7502 0.5015 0.1670
Mn1 0.5000 0.2183 0.8405
Mn2 0.0000 0.2813 0.3404
Mn3 0.0000 0.2811 0.6734
Mn4 0.5000 0.7201 0.9931
Fe1 0.5000 0.2194 0.5067
Fe2 0.5000 0.2187 0.1738
Fe3 0.0000 0.2803 0.0077
Fe4 0.5000 0.7197 0.6586
Co1 0.5000 0.7215 0.3281
Co2 0.0000 0.7811 0.1610
Co3 0.0000 0.7792 0.4936
Co4 0.0000 0.7790 0.8264
P1 0.0000 0.0936 0.1930
P2 0.0000 0.0927 0.8620
P3 0.0000 0.0927 0.5267
P4 0.5000 0.4078 0.6939
P5 0.5000 0.4067 0.3609
P6 0.5000 0.4050 0.0279
P7 0.0000 0.5967 0.6389
P8 0.0000 0.5942 0.9717
P9 0.0000 0.5972 0.3052
P10 0.5000 0.9057 0.1403
P11 0.5000 0.9044 0.8051
P12 0.5000 0.9045 0.4727
O1 0.5000 0.0414 0.7628
O2 0.5000 0.0417 0.4315
O3 0.5000 0.0423 0.0989
O4 0.0000 0.0951 0.4196
O5 0.0000 0.0965 0.0859
O6 0.0000 0.0963 0.7547
O7 0.2006 0.1635 0.9068
O8 0.7994 0.1635 0.9068
O9 0.2022 0.1632 0.5704
O10 0.7978 0.1632 0.5704
O11 0.2020 0.1639 0.2371
O12 0.7980 0.1639 0.2371
O13 0.6999 0.3364 0.4069
O14 0.3001 0.3364 0.4069
O15 0.7015 0.3375 0.7388
O16 0.2985 0.3375 0.7388
O17 0.7016 0.3334 0.0716
O18 0.2984 0.3334 0.0716
O19 0.5000 0.4033 0.5868
O20 0.5000 0.4045 0.9209
O21 0.5000 0.4019 0.2543
O22 0.0000 0.4599 0.5971
O23 0.0000 0.4563 0.9321
O24 0.0000 0.4595 0.2643
O25 0.5000 0.5449 0.7345
O26 0.5000 0.5414 0.0702
O27 0.5000 0.5458 0.4008
O28 0.0000 0.5979 0.7465
O29 0.0000 0.5984 0.0792
O30 0.0000 0.5983 0.4131
O31 0.2006 0.6648 0.9261
O32 0.2021 0.6676 0.5949
O33 0.2025 0.6668 0.2606
O34 0.7975 0.6668 0.2606
O35 0.7994 0.6648 0.9261
O36 0.7979 0.6676 0.5949
O37 0.7040 0.8354 0.0965
O38 0.2960 0.8354 0.0965
O39 0.7035 0.8337 0.7620
O40 0.7027 0.8335 0.4280
O41 0.2965 0.8337 0.7620
O42 0.2973 0.8335 0.4280
O43 0.5000 0.9025 0.2482
O44 0.5000 0.9028 0.5800
O45 0.5000 0.9046 0.9124
O46 0.0000 0.9556 0.2347
O47 0.0000 0.9542 0.9019
O48 0.0000 0.9542 0.5687

=====

No. 2
Density functional theory data (PBE+U) for a relaxed Li3MnFeCoP3O12 crystal.

## Properties
Mass density in kg/m3: 3471
M_tot in μB/atom: 0.57
Energy relative to the lowest polymorph listed for this composition in meV per atom: 1
Space group: Pm (6)
Formation energy in eV per formula unit: -52.37

Lattice parameters (Å, degrees): 10.4175 6.1004 14.3157 90.00 89.76 90.00
Element x y z (fractional)
Li1 0.9960 0.4995 0.6672
Li2 0.9995 0.0008 0.9991
Li3 0.9995 0.4992 0.9991
Li4 0.9971 0.9987 0.3338
Li5 0.9971 0.5013 0.3338
Li6 0.9960 0.0005 0.6672
Li7 0.5031 0.9998 0.5005
Li8 0.5031 0.5002 0.5005
Li9 0.5015 0.9999 0.1655
Li10 0.5015 0.5001 0.1655
Li11 0.5032 0.9997 0.8337
Li12 0.5032 0.5003 0.8337
Mn1 0.2185 0.7500 0.1593
Mn2 0.2192 0.7500 0.4940
Mn3 0.2819 0.2500 0.6606
Mn4 0.2813 0.2500 0.3264
Fe1 0.2173 0.7500 0.8267
Fe2 0.2827 0.2500 0.9907
Fe3 0.7189 0.7500 0.0084
Fe4 0.7193 0.7500 0.3420
Co1 0.7228 0.7500 0.6713
Co2 0.7809 0.2500 0.8394
Co3 0.7770 0.2500 0.5048
Co4 0.7810 0.2500 0.1723
P1 0.0931 0.2500 0.8075
P2 0.0928 0.2500 0.1377
P3 0.0900 0.2500 0.4729
P4 0.4091 0.7500 0.3054
P5 0.4088 0.7500 0.6401
P6 0.4055 0.7500 0.9717
P7 0.5981 0.2500 0.3605
P8 0.5955 0.2500 0.0268
P9 0.5992 0.2500 0.6948
P10 0.9019 0.7500 0.8603
P11 0.9024 0.7500 0.1945
P12 0.9018 0.7500 0.5282
O1 0.0405 0.7500 0.2358
O2 0.0399 0.7500 0.5693
O3 0.0408 0.7500 0.9007
O4 0.0956 0.2500 0.5803
O5 0.0975 0.2500 0.9146
O6 0.0972 0.2500 0.2453
O7 0.1635 0.0485 0.0925
O8 0.1635 0.4515 0.0925
O9 0.1602 0.0480 0.4275
O10 0.1602 0.4520 0.4275
O11 0.1640 0.0470 0.7629
O12 0.1640 0.4530 0.7629
O13 0.3397 0.5479 0.5942
O14 0.3397 0.9521 0.5942
O15 0.3392 0.5476 0.2609
O16 0.3392 0.9524 0.2609
O17 0.3343 0.5472 0.9277
O18 0.3343 0.9528 0.9277
O19 0.4045 0.7500 0.4130
O20 0.4028 0.7500 0.0791
O21 0.4018 0.7500 0.7474
O22 0.4604 0.2500 0.4030
O23 0.4565 0.2500 0.0672
O24 0.4603 0.2500 0.7353
O25 0.5476 0.7500 0.2643
O26 0.5437 0.7500 0.9303
O27 0.5489 0.7500 0.6002
O28 0.6008 0.2500 0.2531
O29 0.6000 0.2500 0.9194
O30 0.6024 0.2500 0.5865
O31 0.6659 0.0477 0.0720
O32 0.6691 0.0477 0.4056
O33 0.6683 0.0468 0.7400
O34 0.6683 0.4532 0.7400
O35 0.6659 0.4523 0.0720
O36 0.6691 0.4523 0.4056
O37 0.8323 0.5454 0.9047
O38 0.8323 0.9546 0.9047
O39 0.8325 0.5453 0.2389
O40 0.8313 0.5467 0.5734
O41 0.8325 0.9547 0.2389
O42 0.8313 0.9533 0.5734
O43 0.8992 0.7500 0.7524
O44 0.9011 0.7500 0.4206
O45 0.9003 0.7500 0.0869
O46 0.9545 0.2500 0.7672
O47 0.9533 0.2500 0.0984
O48 0.9505 0.2500 0.4333

=====

No. 3
Density functional theory data (PBE+U) for a relaxed Li3MnFeCoP3O12 crystal.

## Properties
Mass density in kg/m3: 3465
M_tot in μB/atom: 0.57
Energy relative to the lowest polymorph listed for this composition in meV per atom: 0
Space group: Pm (6)
Formation energy in eV per formula unit: -52.38

Lattice parameters (Å, degrees): 6.0904 10.4642 14.3015 89.95 90.00 90.00
Element x y z (fractional)
Li1 0.7494 0.0015 0.6671
Li2 0.2503 0.0011 0.9997
Li3 0.7497 0.0011 0.9997
Li4 0.2504 0.0014 0.3333
Li5 0.7496 0.0014 0.3333
Li6 0.2506 0.0015 0.6671
Li7 0.2506 0.4988 0.5006
Li8 0.7494 0.4988 0.5006
Li9 0.2505 0.4985 0.1670
Li10 0.7495 0.4985 0.1670
Li11 0.2510 0.4989 0.8330
Li12 0.7490 0.4989 0.8330
Mn1 0.5000 0.7813 0.1600
Mn2 0.0000 0.7186 0.6602
Mn3 0.0000 0.7196 0.9931
Mn4 0.0000 0.7192 0.3270
Fe1 0.5000 0.7813 0.4928
Fe2 0.5000 0.7815 0.8254
Fe3 0.5000 0.2799 0.0079
Fe4 0.5000 0.2798 0.3417
Co1 0.5000 0.2770 0.6740
Co2 0.0000 0.2220 0.8400
Co3 0.0000 0.2189 0.5065
Co4 0.0000 0.2185 0.1728
P1 0.0000 0.9089 0.8065
P2 0.0000 0.9095 0.1390
P3 0.0000 0.9087 0.4734
P4 0.5000 0.5918 0.3060
P5 0.5000 0.5925 0.6384
P6 0.5000 0.5924 0.9709
P7 0.0000 0.4035 0.3611
P8 0.0000 0.4036 0.0277
P9 0.0000 0.4030 0.6942
P10 0.5000 0.0953 0.8604
P11 0.5000 0.0966 0.1943
P12 0.5000 0.0961 0.5276
O1 0.5000 0.9597 0.2371
O2 0.5000 0.9587 0.5694
O3 0.5000 0.9576 0.9020
O4 0.0000 0.9063 0.5806
O5 0.0000 0.9061 0.9139
O6 0.0000 0.9058 0.2464
O7 0.2017 0.8388 0.0944
O8 0.7983 0.8388 0.0944
O9 0.2029 0.8373 0.4295
O10 0.7971 0.8373 0.4295
O11 0.2028 0.8371 0.7628
O12 0.7972 0.8371 0.7628
O13 0.7015 0.6631 0.5929
O14 0.2985 0.6631 0.5929
O15 0.7022 0.6622 0.2609
O16 0.2978 0.6622 0.2609
O17 0.7019 0.6632 0.9262
O18 0.2981 0.6632 0.9262
O19 0.5000 0.5957 0.4133
O20 0.5000 0.5952 0.0785
O21 0.5000 0.5969 0.7460
O22 0.0000 0.5404 0.4030
O23 0.0000 0.5407 0.0695
O24 0.0000 0.5402 0.7363
O25 0.5000 0.4545 0.2647
O26 0.5000 0.4548 0.9305
O27 0.5000 0.4539 0.5990
O28 0.0000 0.4016 0.2533
O29 0.0000 0.4013 0.9201
O30 0.0000 0.4015 0.5866
O31 0.2023 0.3326 0.0723
O32 0.2021 0.3324 0.4057
O33 0.2035 0.3323 0.7384
O34 0.7965 0.3323 0.7384
O35 0.7977 0.3326 0.0723
O36 0.7979 0.3324 0.4057
O37 0.7042 0.1654 0.9043
O38 0.2958 0.1654 0.9043
O39 0.7043 0.1670 0.2381
O40 0.7033 0.1677 0.5718
O41 0.2957 0.1670 0.2381
O42 0.2967 0.1677 0.5718
O43 0.5000 0.0983 0.7526
O44 0.5000 0.0967 0.4201
O45 0.5000 0.0964 0.0867
O46 0.0000 0.0459 0.7646
O47 0.0000 0.0474 0.0981
O48 0.0000 0.0461 0.4314